Entry 1:
{"formula": "Ti5InS8", "functional": "PBE-GGA", "state": "optimized geometry", "energy_mp2020_ev_per_atom": -6.967, "e_form_ev_per_atom": -1.587, "lattice": [[8.946, -1.705, 0.000], [8.946, 1.705, 0.000], [-2.180, 0.000, 8.601]], "species": ["Ti", "Ti", "Ti", "Ti", "Ti", "In", "S", "S", "S", "S", "S", "S", "S", "S"], "fractional_positions": [[0.000, 0.000, 0.000], [0.293, 0.293, 0.652], [0.341, 0.341, 0.007], [0.659, 0.659, 0.993], [0.707, 0.707, 0.348], [0.500, 0.500, 0.500], [0.087, 0.087, 0.824], [0.163, 0.163, 0.499], [0.241, 0.241, 0.165], [0.424, 0.424, 0.831], [0.576, 0.576, 0.169], [0.759, 0.759, 0.835], [0.837, 0.837, 0.501], [0.913, 0.913, 0.176]]}



Entry 2:
{"formula": "Ti5InS8", "functional": "PBE-GGA", "state": "optimized geometry", "energy_mp2020_ev_per_atom": -6.966, "e_form_ev_per_atom": -1.586, "lattice": [[8.945, -1.705, 0.000], [8.945, 1.705, 0.000], [-2.178, 0.000, 8.588]], "species": ["Ti", "Ti", "Ti", "Ti", "Ti", "In", "S", "S", "S", "S", "S", "S", "S", "S"], "fractional_positions": [[0.000, 0.000, 0.000], [0.047, 0.047, 0.352], [0.339, 0.339, 0.006], [0.633, 0.633, 0.658], [0.681, 0.681, 0.012], [0.852, 0.852, 0.528], [0.099, 0.099, 0.840], [0.177, 0.177, 0.507], [0.252, 0.252, 0.180], [0.427, 0.427, 0.830], [0.502, 0.502, 0.504], [0.581, 0.581, 0.171], [0.764, 0.764, 0.837], [0.916, 0.916, 0.174]]}



Entry 3:
{"formula": "TlInS2", "functional": "PBE-GGA", "state": "optimized geometry", "energy_mp2020_ev_per_atom": -4.104, "e_form_ev_per_atom": -0.758, "lattice": [[8.009, 0.000, 0.000], [0.000, 8.009, 0.000], [0.000, 0.000, 6.768]], "species": ["Tl", "Tl", "Tl", "Tl", "In", "In", "In", "In", "S", "S", "S", "S", "S", "S", "S", "S"], "fractional_positions": [[0.000, 0.000, 0.250], [0.000, 0.000, 0.750], [0.500, 0.500, 0.250], [0.500, 0.500, 0.750], [0.000, 0.500, 0.250], [0.000, 0.500, 0.750], [0.500, 0.000, 0.250], [0.500, 0.000, 0.750], [0.165, 0.335, 0.000], [0.165, 0.665, 0.500], [0.335, 0.165, 0.500], [0.335, 0.835, 0.000], [0.665, 0.165, 0.000], [0.665, 0.835, 0.500], [0.835, 0.335, 0.500], [0.835, 0.665, 0.000]]}



Entry 4:
{"formula": "TlInS2", "functional": "PBE-GGA", "state": "optimized geometry", "energy_mp2020_ev_per_atom": -3.595, "magmom_total_mub_per_fu": 0.0, "e_form_ev_per_atom": -0.248, "lattice": [[7.892, 0.000, 0.000], [0.000, 5.825, 0.000], [-3.190, 0.000, 5.816]], "species": ["Tl", "Tl", "In", "In", "S", "S", "S", "S"], "fractional_positions": [[0.000, 0.000, 0.000], [0.500, 0.500, 0.000], [0.000, 0.000, 0.500], [0.500, 0.500, 0.500], [0.084, 0.500, 0.183], [0.416, 0.000, 0.817], [0.584, 0.000, 0.183], [0.916, 0.500, 0.817]]}



Question: What is the formula in the third record?
Answer: TlInS2